A plane-wave DFT calculation with PBE was carried out for Na10Sc4In4Si5S7O48 after structural relaxation.

Output
formation energy: -242.0 kJ per mole of atoms
magnetization: 0.00 μB/cell
DFT total energy: -1517.41 eV/cell

a b c (Å): 9.114 15.760 22.875
angles (deg): 89.37 89.98 89.94
Positions (direct):
Na: 0.000 0.000 0.000
Na: 0.001 0.666 0.664
Na: 0.004 0.337 0.331
Na: 0.121 0.480 0.255
Na: 0.137 0.158 0.921
Na: 0.142 0.826 0.589
Na: 0.160 0.154 0.426
Na: 0.160 0.819 0.092
Na: 0.164 0.481 0.759
Na: 0.271 0.337 0.833
Na: 0.280 0.668 0.165
Na: 0.331 0.308 0.509
Na: 0.446 0.148 0.351
Na: 0.466 0.504 0.341
Na: 0.500 0.169 0.665
Na: 0.509 0.834 0.332
Na: 0.602 0.649 0.929
Na: 0.625 0.976 0.256
Na: 0.639 0.327 0.592
Na: 0.641 0.331 0.091
Na: 0.653 0.984 0.755
Na: 0.661 0.651 0.426
Na: 0.782 0.168 0.164
Na: 0.783 0.833 0.833
Na: 0.817 0.502 0.845
Na: 0.831 0.810 0.506
Na: 0.832 0.150 0.849
Na: 0.948 0.647 0.349
Na: 0.951 0.309 0.007
Na: 0.968 0.001 0.343
Sc: 0.132 0.828 0.441
Sc: 0.137 0.497 0.109
Sc: 0.146 0.170 0.275
Sc: 0.146 0.838 0.241
Sc: 0.155 0.502 0.907
Sc: 0.619 0.669 0.072
Sc: 0.628 0.997 0.407
Sc: 0.634 0.994 0.111
Sc: 0.648 0.332 0.943
Sc: 0.649 0.000 0.910
Sc: 0.650 0.670 0.275
Sc: 0.653 0.666 0.573
In: 0.128 0.835 0.740
In: 0.132 0.497 0.410
In: 0.134 0.166 0.777
In: 0.134 0.168 0.076
In: 0.141 0.494 0.609
In: 0.147 0.826 0.944
In: 0.153 0.162 0.575
In: 0.630 0.664 0.773
In: 0.635 0.328 0.441
In: 0.635 0.339 0.742
In: 0.641 0.995 0.608
In: 0.643 0.340 0.241
Si: 0.284 0.646 0.011
Si: 0.285 0.977 0.342
Si: 0.294 0.314 0.675
Si: 0.342 0.331 0.343
Si: 0.488 0.812 0.177
Si: 0.493 0.480 0.842
Si: 0.495 0.145 0.509
Si: 0.786 0.146 0.012
Si: 0.787 0.813 0.675
Si: 0.788 0.479 0.342
Si: 0.846 0.831 0.343
Si: 0.937 0.332 0.843
Si: 0.984 0.315 0.174
Si: 0.993 0.977 0.846
Si: 0.996 0.647 0.510
S: 0.288 0.014 0.676
S: 0.288 0.684 0.340
S: 0.289 0.350 0.008
S: 0.342 0.665 0.675
S: 0.347 0.998 0.010
S: 0.437 0.162 0.175
S: 0.437 0.831 0.841
S: 0.440 0.498 0.508
S: 0.489 0.847 0.508
S: 0.491 0.518 0.175
S: 0.495 0.181 0.843
S: 0.784 0.849 0.009
S: 0.788 0.515 0.675
S: 0.789 0.179 0.340
S: 0.843 0.162 0.675
S: 0.846 0.499 0.008
S: 0.935 0.663 0.174
S: 0.938 0.997 0.507
S: 0.987 0.344 0.509
S: 0.992 0.015 0.175
S: 0.992 0.681 0.840
O: 0.006 0.256 0.116
O: 0.006 0.911 0.792
O: 0.020 0.738 0.890
O: 0.022 0.396 0.560
O: 0.025 0.595 0.450
O: 0.027 0.068 0.226
O: 0.027 0.076 0.513
O: 0.032 0.739 0.178
O: 0.033 0.586 0.171
O: 0.034 0.921 0.503
O: 0.037 0.417 0.849
O: 0.043 0.247 0.841
O: 0.047 0.594 0.848
O: 0.051 0.265 0.233
O: 0.052 0.928 0.180
O: 0.054 0.052 0.120
O: 0.056 0.258 0.514
O: 0.056 0.381 0.454
O: 0.057 0.601 0.570
O: 0.058 0.714 0.785
O: 0.059 0.936 0.907
O: 0.060 0.072 0.837
O: 0.062 0.408 0.168
O: 0.064 0.744 0.508
O: 0.208 0.071 0.334
O: 0.208 0.742 0.007
O: 0.208 0.930 0.398
O: 0.218 0.264 0.012
O: 0.218 0.409 0.671
O: 0.222 0.049 0.622
O: 0.222 0.601 0.072
O: 0.223 0.389 0.955
O: 0.224 0.597 0.346
O: 0.224 0.722 0.287
O: 0.231 0.269 0.736
O: 0.232 0.248 0.335
O: 0.232 0.925 0.681
O: 0.237 0.592 0.672
O: 0.242 0.588 0.955
O: 0.243 0.418 0.349
O: 0.245 0.924 0.009
O: 0.251 0.744 0.677
O: 0.252 0.065 0.728
O: 0.252 0.400 0.060
O: 0.253 0.077 0.013
O: 0.260 0.737 0.392
O: 0.267 0.256 0.617
O: 0.270 0.915 0.285
O: 0.306 0.815 0.179
O: 0.313 0.157 0.509
O: 0.316 0.490 0.850
O: 0.327 0.514 0.171
O: 0.330 0.837 0.501
O: 0.333 0.174 0.840
O: 0.338 0.484 0.558
O: 0.344 0.169 0.122
O: 0.346 0.152 0.229
O: 0.346 0.839 0.787
O: 0.348 0.819 0.894
O: 0.356 0.508 0.452
O: 0.425 0.652 0.730
O: 0.432 0.304 0.403
O: 0.436 0.003 0.956
O: 0.438 0.670 0.623
O: 0.439 0.990 0.062
O: 0.449 0.341 0.004
O: 0.451 0.349 0.287
O: 0.451 0.674 0.336
O: 0.452 0.013 0.673
O: 0.465 0.655 0.013
O: 0.465 0.991 0.349
O: 0.477 0.315 0.677
O: 0.499 0.422 0.784
O: 0.516 0.898 0.561
O: 0.525 0.564 0.229
O: 0.525 0.748 0.123
O: 0.529 0.237 0.892
O: 0.530 0.576 0.515
O: 0.531 0.909 0.845
O: 0.532 0.238 0.178
O: 0.532 0.420 0.507
O: 0.535 0.086 0.172
O: 0.537 0.090 0.451
O: 0.539 0.756 0.839
O: 0.552 0.101 0.571
O: 0.552 0.430 0.175
O: 0.553 0.562 0.124
O: 0.553 0.770 0.237
O: 0.559 0.887 0.456
O: 0.560 0.213 0.787
O: 0.562 0.095 0.851
O: 0.562 0.762 0.514
O: 0.564 0.907 0.168
O: 0.566 0.243 0.508
O: 0.575 0.432 0.897
O: 0.583 0.572 0.837
O: 0.705 0.571 0.334
O: 0.707 0.437 0.400
O: 0.714 0.908 0.670
O: 0.718 0.214 0.287
O: 0.719 0.242 0.007
O: 0.724 0.093 0.350
O: 0.724 0.886 0.953
O: 0.725 0.771 0.737
O: 0.726 0.430 0.674
O: 0.726 0.563 0.624
O: 0.727 0.096 0.070
O: 0.727 0.762 0.015
O: 0.740 0.087 0.672
O: 0.740 0.746 0.337
O: 0.742 0.916 0.349
O: 0.745 0.904 0.058
O: 0.748 0.752 0.619
O: 0.750 0.240 0.676
O: 0.752 0.086 0.954
O: 0.753 0.574 0.015
O: 0.754 0.419 0.006
O: 0.758 0.561 0.730
O: 0.772 0.235 0.391
O: 0.785 0.413 0.288
O: 0.802 0.315 0.177
O: 0.810 0.987 0.851
O: 0.813 0.660 0.514
O: 0.827 0.338 0.504
O: 0.828 0.012 0.171
O: 0.828 0.676 0.836
O: 0.831 0.346 0.786
O: 0.834 0.313 0.902
O: 0.838 0.670 0.123
O: 0.844 0.981 0.559
O: 0.847 0.006 0.453
O: 0.848 0.653 0.230
O: 0.927 0.151 0.730
O: 0.930 0.507 0.952
O: 0.939 0.167 0.622
O: 0.940 0.812 0.403
O: 0.948 0.485 0.058
O: 0.948 0.848 0.007
O: 0.951 0.167 0.333
O: 0.952 0.512 0.672
O: 0.960 0.846 0.289
O: 0.966 0.495 0.347
O: 0.969 0.812 0.675
O: 0.971 0.150 0.010